Mn3OF5: optimized geometry, PBE with a Hubbard U.

Output
As for the total magnetization: 14.00 μB/f.u. Its calculated volume is 234.3 Å³/cell. As for the relative energy among the computed polymorphs: 28 meV/atom. As for the crystal system: monoclinic.

a b c (Å): 6.965 3.228 10.976
angles (deg): 90.00 108.30 90.00
Fractional positions:
1 Mn 0.000 0.000 0.000
2 Mn 0.152 0.500 0.345
3 Mn 0.340 0.000 0.681
4 Mn 0.509 0.500 0.020
5 Mn 0.695 0.000 0.357
6 Mn 0.847 0.500 0.697
7 O 0.941 0.500 0.883
8 O 0.983 0.000 0.348
9 F 0.036 0.000 0.684
10 F 0.069 0.500 0.132
11 F 0.283 0.500 0.551
12 F 0.314 0.000 0.021
13 F 0.366 0.000 0.348
14 F 0.407 0.500 0.815
15 F 0.608 0.500 0.226
16 F 0.648 0.000 0.685
17 F 0.706 0.000 0.021
18 F 0.745 0.500 0.495


Li3NiB5O10: optimized geometry, PBE with a Hubbard U.

Output
As for the total magnetization: 2.00 μB/f.u. Its calculated volume is 370.8 Å³/cell. As for the crystal system: triclinic. For the total energy, the calculation gives -0.5171 Ry per atom.

a b c (Å): 6.889 7.071 9.292
angles (deg): 80.00 68.64 61.59
Fractional positions:
1 Li 0.020 0.193 0.464
2 Li 0.179 0.007 0.841
3 Li 0.244 0.492 0.247
4 Li 0.756 0.508 0.753
5 Li 0.821 0.993 0.159
6 Li 0.980 0.807 0.536
7 Ni 0.219 0.514 0.882
8 Ni 0.781 0.486 0.118
9 B 0.214 0.168 0.130
10 B 0.254 0.286 0.603
11 B 0.305 0.802 0.070
12 B 0.362 0.747 0.569
13 B 0.412 0.857 0.289
14 B 0.588 0.143 0.711
15 B 0.638 0.253 0.431
16 B 0.695 0.198 0.930
17 B 0.746 0.714 0.397
18 B 0.786 0.832 0.870
19 O 0.045 0.305 0.623
20 O 0.129 0.379 0.097
21 O 0.215 0.733 0.706
22 O 0.220 0.025 0.040
23 O 0.268 0.694 0.991
24 O 0.272 0.840 0.448
25 O 0.307 0.087 0.249
26 O 0.341 0.222 0.729
27 O 0.400 0.319 0.458
28 O 0.413 0.717 0.184
29 O 0.587 0.283 0.816
30 O 0.600 0.681 0.542
31 O 0.659 0.778 0.271
32 O 0.693 0.913 0.751
33 O 0.728 0.160 0.552
34 O 0.732 0.306 0.009
35 O 0.780 0.975 0.960
36 O 0.785 0.267 0.294
37 O 0.871 0.621 0.903
38 O 0.955 0.695 0.377


Li7Mn5O12: optimized geometry, PBE with a Hubbard U.

Output
As for the total magnetization: 2.00 μB/f.u. Its calculated volume is 222.2 Å³/cell. As for the relative energy among the computed polymorphs: 17 meV/atom. As for the crystal system: triclinic.

a b c (Å): 5.321 5.728 7.727
angles (deg): 78.77 74.37 89.61
Fractional positions:
1 Li 0.000 0.000 0.000
2 Li 0.156 0.918 0.316
3 Li 0.172 0.413 0.325
4 Li 0.450 0.236 0.019
5 Li 0.550 0.764 0.981
6 Li 0.828 0.587 0.675
7 Li 0.844 0.082 0.684
8 Mn 0.000 0.500 0.000
9 Mn 0.326 0.837 0.675
10 Mn 0.338 0.333 0.670
11 Mn 0.662 0.667 0.330
12 Mn 0.674 0.163 0.325
13 O 0.014 0.689 0.187
14 O 0.071 0.220 0.160
15 O 0.251 0.126 0.523
16 O 0.292 0.625 0.500
17 O 0.428 0.546 0.815
18 O 0.430 0.052 0.815
19 O 0.570 0.948 0.185
20 O 0.572 0.454 0.185
21 O 0.708 0.375 0.500
22 O 0.749 0.874 0.477
23 O 0.929 0.780 0.840
24 O 0.986 0.311 0.813


Mn4OF8: optimized geometry, PBE with a Hubbard U.

Output
As for the total magnetization: 18.00 μB/f.u. Its calculated volume is 387.5 Å³/cell. For the piezoelectric modulus e_max, the calculation gives 0.338 C/m². As for the crystal system: monoclinic. For the total energy, the calculation gives -0.4573 Ry per atom.

a b c (Å): 5.486 5.486 15.015
angles (deg): 92.64 92.64 59.18
Fractional positions:
1 Mn 0.005 0.995 0.500
2 Mn 0.304 0.364 0.047
3 Mn 0.316 0.338 0.833
4 Mn 0.338 0.316 0.333
5 Mn 0.364 0.304 0.547
6 Mn 0.978 0.994 0.692
7 Mn 0.994 0.978 0.192
8 Mn 0.995 0.005 0.000
9 O 0.220 0.753 0.093
10 O 0.753 0.220 0.593
11 F 0.028 0.284 0.756
12 F 0.046 0.673 0.601
13 F 0.056 0.637 0.255
14 F 0.060 0.662 0.934
15 F 0.100 0.275 0.441
16 F 0.243 0.701 0.768
17 F 0.275 0.100 0.941
18 F 0.277 0.645 0.437
19 F 0.284 0.028 0.256
20 F 0.300 0.977 0.587
21 F 0.637 0.056 0.755
22 F 0.645 0.277 0.937
23 F 0.662 0.060 0.434
24 F 0.673 0.046 0.101
25 F 0.701 0.243 0.268
26 F 0.977 0.300 0.087


Li4Mn3Co3Sn2O16: optimized geometry, PBE with a Hubbard U.

Output
As for the total magnetization: 10.00 μB/f.u. Its calculated volume is 594.0 Å³/cell. As for the relative energy among the computed polymorphs: 17 meV/atom. As for the crystal system: triclinic.

a b c (Å): 5.975 10.234 11.314
angles (deg): 116.59 104.45 90.01
Fractional positions:
1 Li 0.000 0.000 0.000
2 Li 0.038 0.376 0.095
3 Li 0.248 0.907 0.497
4 Li 0.288 0.619 0.593
5 Li 0.499 0.498 0.998
6 Li 0.538 0.876 0.095
7 Li 0.746 0.407 0.497
8 Li 0.788 0.120 0.593
9 Mn 0.146 0.652 0.817
10 Mn 0.394 0.072 0.317
11 Mn 0.402 0.903 0.813
12 Mn 0.646 0.151 0.815
13 Mn 0.893 0.572 0.316
14 Mn 0.900 0.402 0.813
15 Co 0.150 0.318 0.317
16 Co 0.157 0.149 0.817
17 Co 0.402 0.571 0.313
18 Co 0.647 0.818 0.315
19 Co 0.652 0.649 0.815
20 Co 0.901 0.071 0.314
21 Sn 0.040 0.712 0.092
22 Sn 0.285 0.286 0.592
23 Sn 0.537 0.211 0.092
24 Sn 0.791 0.788 0.593
25 O 0.079 0.249 0.700
26 O 0.088 0.592 0.203
27 O 0.095 0.748 0.698
28 O 0.112 0.098 0.210
29 O 0.184 0.535 0.407
30 O 0.206 0.572 0.945
31 O 0.219 0.060 0.435
32 O 0.237 0.063 0.939
33 O 0.332 0.353 0.201
34 O 0.338 0.516 0.705
35 O 0.350 0.856 0.205
36 O 0.372 0.010 0.710
37 O 0.435 0.785 0.908
38 O 0.441 0.284 0.439
39 O 0.453 0.276 0.927
40 O 0.496 0.788 0.440
41 O 0.585 0.091 0.202
42 O 0.586 0.750 0.699
43 O 0.590 0.245 0.696
44 O 0.610 0.596 0.207
45 O 0.682 0.037 0.408
46 O 0.703 0.070 0.945
47 O 0.719 0.561 0.435
48 O 0.742 0.562 0.939
49 O 0.833 0.852 0.202
50 O 0.846 0.356 0.203
51 O 0.850 0.020 0.708
52 O 0.866 0.513 0.711
53 O 0.926 0.287 0.909
54 O 0.944 0.784 0.439
55 O 0.972 0.783 0.935
56 O 0.990 0.285 0.438


Repeat the first record exactly.
Mn3OF5: optimized geometry, PBE with a Hubbard U.

Output
As for the total magnetization: 14.00 μB/f.u. Its calculated volume is 234.3 Å³/cell. As for the relative energy among the computed polymorphs: 28 meV/atom. As for the crystal system: monoclinic.

a b c (Å): 6.965 3.228 10.976
angles (deg): 90.00 108.30 90.00
Fractional positions:
1 Mn 0.000 0.000 0.000
2 Mn 0.152 0.500 0.345
3 Mn 0.340 0.000 0.681
4 Mn 0.509 0.500 0.020
5 Mn 0.695 0.000 0.357
6 Mn 0.847 0.500 0.697
7 O 0.941 0.500 0.883
8 O 0.983 0.000 0.348
9 F 0.036 0.000 0.684
10 F 0.069 0.500 0.132
11 F 0.283 0.500 0.551
12 F 0.314 0.000 0.021
13 F 0.366 0.000 0.348
14 F 0.407 0.500 0.815
15 F 0.608 0.500 0.226
16 F 0.648 0.000 0.685
17 F 0.706 0.000 0.021
18 F 0.745 0.500 0.495